1.
Entry from Materials Project: a relaxed Ba2CdS3 crystal (GGA-PBE).

abc: 9.0680 4.3956 17.5050
angles: 90.00 90.00 90.00
Atoms (fractional coordinates):
Ba: 0.0806 0.2500 0.2159
Ba: 0.2347 0.2500 0.9581
Ba: 0.2653 0.7500 0.4581
Ba: 0.4194 0.7500 0.7159
Ba: 0.5806 0.2500 0.2841
Ba: 0.7347 0.2500 0.5419
Ba: 0.7653 0.7500 0.0419
Ba: 0.9194 0.7500 0.7841
Cd: 0.1211 0.2500 0.6312
Cd: 0.3789 0.7500 0.1312
Cd: 0.6211 0.2500 0.8688
Cd: 0.8789 0.7500 0.3688
S: 0.0164 0.2500 0.4035
S: 0.1217 0.7500 0.0723
S: 0.1812 0.2500 0.7749
S: 0.3188 0.7500 0.2749
S: 0.3783 0.2500 0.5723
S: 0.4836 0.7500 0.9035
S: 0.5164 0.2500 0.0965
S: 0.6217 0.7500 0.4277
S: 0.6812 0.2500 0.7251
S: 0.8188 0.7500 0.2251
S: 0.8783 0.2500 0.9277
S: 0.9836 0.7500 0.5965

Summary:
SG: Pnma (62)
Calculated formation energy: -1.856 eV per atom

---

2.
Entry from Materials Project: a relaxed Sm2MgSe4 crystal (GGA-PBE).

abc: 7.6265 8.8491 13.9210
angles: 80.60 84.43 89.95
Atoms (fractional coordinates):
Sm: 0.1315 0.4437 0.1986
Sm: 0.1331 0.9573 0.1948
Sm: 0.2588 0.1280 0.4992
Sm: 0.3648 0.3004 0.8030
Sm: 0.6352 0.6996 0.1970
Sm: 0.7412 0.8720 0.5008
Sm: 0.8669 0.0427 0.8052
Sm: 0.8685 0.5563 0.8014
Mg: 0.2509 0.6220 0.5044
Mg: 0.3665 0.8002 0.7975
Mg: 0.6335 0.1998 0.2025
Mg: 0.7491 0.3780 0.4956
Se: 0.0926 0.4098 0.4002
Se: 0.1087 0.8922 0.3972
Se: 0.1964 0.5459 0.8737
Se: 0.1986 0.0171 0.8734
Se: 0.3092 0.7191 0.1207
Se: 0.3353 0.2196 0.1254
Se: 0.3895 0.8414 0.6092
Se: 0.4098 0.3585 0.6009
Se: 0.5902 0.6415 0.3991
Se: 0.6105 0.1586 0.3908
Se: 0.6647 0.7804 0.8746
Se: 0.6908 0.2809 0.8793
Se: 0.8014 0.9829 0.1266
Se: 0.8036 0.4541 0.1263
Se: 0.8913 0.1078 0.6028
Se: 0.9074 0.5902 0.5998

Summary:
SG: P-1 (2)
Calculated formation energy: -1.761 eV per atom

---

3.
Entry from Materials Project: a relaxed SrMg6ZnO8 crystal (GGA-PBE).

abc: 4.4915 4.4915 8.7362
angles: 90.00 90.00 90.00
Atoms (fractional coordinates):
Sr: 0.0000 0.0000 0.0000
Mg: 0.0000 0.0000 0.5000
Mg: 0.0000 0.5000 0.2603
Mg: 0.0000 0.5000 0.7397
Mg: 0.5000 0.0000 0.2603
Mg: 0.5000 0.0000 0.7397
Mg: 0.5000 0.5000 0.5000
Zn: 0.5000 0.5000 0.0000
O: 0.0000 0.0000 0.2729
O: 0.0000 0.0000 0.7271
O: 0.0000 0.5000 0.0000
O: 0.0000 0.5000 0.5000
O: 0.5000 0.0000 0.0000
O: 0.5000 0.0000 0.5000
O: 0.5000 0.5000 0.2545
O: 0.5000 0.5000 0.7455

Summary:
SG: P4/mmm (123)
Calculated formation energy: -2.711 eV per atom